# NiP4

A relaxed structure of NiP4 (PBE-GGA, the Materials Project).

POSCAR file:
```
NiP4
1.0
2.6032 -5.3020 0.0000
2.6032 5.3020 0.0000
-0.6481 0.0000 11.3127
Ni P
4 16
Direct
0.0000 0.5000 0.5000
0.0809 0.9191 0.7500
0.5000 0.0000 0.0000
0.9191 0.0809 0.2500
0.0502 0.8606 0.9523
0.0729 0.5478 0.2893
0.1394 0.9498 0.5477
0.2385 0.3748 0.7852
0.3381 0.5339 0.9767
0.3748 0.2385 0.2852
0.4522 0.9271 0.2107
0.4661 0.6619 0.5233
0.5339 0.3381 0.4767
0.5478 0.0729 0.7893
0.6252 0.7615 0.7148
0.6619 0.4661 0.0233
0.7615 0.6252 0.2148
0.8606 0.0502 0.4523
0.9271 0.4522 0.7107
0.9498 0.1394 0.0477
```

Output
space group: C2/c (15)
formation enthalpy at 0 K: -0.8 eV/f.u.
total magnetic moment: 0.000 μB/atom